No. 1
! Zr3NiSb7 meta-GGA r2SCAN optimized geometry; values from VASP
&SYSTEM
  ibrav = 0, nat = 44, ntyp = 3
/
ATOMIC_SPECIES
Zr 91.22 Zr.upf
Ni 58.69 Ni.upf
Sb 121.76 Sb.upf
ATOMIC_POSITIONS angstrom
Zr 1.900 0.987 1.293
Zr 2.283 0.987 7.642
Zr 2.705 0.987 11.682
Zr 6.116 2.962 4.465
Zr 6.538 2.962 0.425
Zr 6.920 2.962 8.510
Zr 10.721 0.987 5.924
Zr 11.104 0.987 14.009
Zr 11.526 0.987 9.969
Zr 14.937 2.962 2.752
Zr 15.359 2.962 6.792
Zr 15.741 2.962 13.140
Ni 1.093 0.987 4.494
Ni 7.728 2.962 11.711
Ni 9.914 0.987 2.723
Ni 16.549 2.962 9.940
Sb 0.386 2.962 2.926
Sb 0.656 2.962 6.114
Sb 1.247 2.962 13.554
Sb 1.591 2.962 9.752
Sb 3.679 0.987 4.532
Sb 4.019 2.962 2.091
Sb 4.357 2.962 6.902
Sb 4.464 0.987 14.119
Sb 4.802 0.987 9.308
Sb 5.142 2.962 11.748
Sb 7.230 0.987 2.535
Sb 7.574 0.987 6.338
Sb 8.165 0.987 13.331
Sb 8.435 0.987 10.143
Sb 9.207 2.962 4.291
Sb 9.477 2.962 1.103
Sb 10.068 2.962 8.096
Sb 10.411 2.962 11.898
Sb 12.500 0.987 2.685
Sb 12.840 2.962 5.125
Sb 13.178 2.962 0.314
Sb 13.285 0.987 7.531
Sb 13.623 0.987 12.342
Sb 13.963 2.962 9.902
Sb 16.051 0.987 4.681
Sb 16.395 0.987 0.879
Sb 16.986 0.987 8.320
Sb 17.255 0.987 11.507
CELL_PARAMETERS angstrom
17.642 0.000 0.000
0.000 3.950 0.000
0.000 0.000 14.434
! Energy relative to the elements (eV per atom): -0.556
! Calculated volume (Å³/atom): 22.9
! SG: Pnma, No. 62



No. 2
! ScNi3 meta-GGA r2SCAN optimized geometry; values from VASP
&SYSTEM
  ibrav = 0, nat = 4, ntyp = 2
/
ATOMIC_SPECIES
Sc 44.96 Sc.upf
Ni 58.69 Ni.upf
ATOMIC_POSITIONS angstrom
Sc 0.000 0.000 0.000
Ni 0.000 1.837 1.837
Ni 1.837 0.000 1.837
Ni 1.837 1.837 0.000
CELL_PARAMETERS angstrom
3.675 0.000 0.000
0.000 3.675 0.000
0.000 0.000 3.675
! Energy relative to the elements (eV per atom): -0.346
! Calculated volume (Å³/atom): 12.4
! SG: Pm-3m, No. 221



No. 3
! ScNi5 meta-GGA r2SCAN optimized geometry; values from VASP
&SYSTEM
  ibrav = 0, nat = 6, ntyp = 2
/
ATOMIC_SPECIES
Sc 44.96 Sc.upf
Ni 58.69 Ni.upf
ATOMIC_POSITIONS angstrom
Sc 0.000 0.000 0.000
Ni -1.175 2.035 1.958
Ni 0.000 2.713 0.000
Ni 2.350 0.000 1.958
Ni 1.175 2.035 1.958
Ni 2.350 1.356 0.000
CELL_PARAMETERS angstrom
4.699 0.000 0.000
-2.350 4.070 0.000
0.000 0.000 3.916
! Energy relative to the elements (eV per atom): -0.256
! Calculated volume (Å³/atom): 12.5
! SG: P6/mmm, No. 191



No. 4
! ScNi3 meta-GGA r2SCAN optimized geometry; values from VASP
&SYSTEM
  ibrav = 0, nat = 8, ntyp = 2
/
ATOMIC_SPECIES
Sc 44.96 Sc.upf
Ni 58.69 Ni.upf
ATOMIC_POSITIONS angstrom
Sc 0.000 3.044 1.044
Sc 2.636 1.522 3.132
Ni 0.000 1.414 3.132
Ni -1.411 3.859 3.132
Ni 1.225 0.707 1.044
Ni 1.411 3.859 3.132
Ni 4.047 0.707 1.044
Ni 2.636 3.152 1.044
CELL_PARAMETERS angstrom
5.272 0.000 0.000
-2.636 4.566 0.000
0.000 0.000 4.176
! Energy relative to the elements (eV per atom): -0.338
! Calculated volume (Å³/atom): 12.6
! SG: P6_3/mmc, No. 194